A relaxed Nd2Fe14C crystal. Source: the Materials Project database, functional GGA-PBE.

- Energy above the lowest structure with this stoichiometry: 0 meV per atom
- Density: 7.8 Mg/m³

Unit cell a=8.770 b=8.770 c=11.941 alpha=90.00 beta=90.00 gamma=90.00
Positions (direct):
Nd1 0.143 0.143 0.000
Nd2 0.238 0.238 0.500
Nd3 0.262 0.738 0.000
Nd4 0.357 0.643 0.500
Nd5 0.643 0.357 0.500
Nd6 0.738 0.262 0.000
Nd7 0.762 0.762 0.500
Nd8 0.857 0.857 0.000
Fe1 0.000 0.000 0.393
Fe2 0.000 0.000 0.607
Fe3 0.000 0.500 0.000
Fe4 0.000 0.500 0.500
Fe5 0.037 0.640 0.177
Fe6 0.037 0.640 0.823
Fe7 0.066 0.725 0.379
Fe8 0.066 0.725 0.621
Fe9 0.098 0.902 0.208
Fe10 0.098 0.902 0.792
Fe11 0.140 0.463 0.323
Fe12 0.140 0.463 0.677
Fe13 0.182 0.182 0.255
Fe14 0.182 0.182 0.745
Fe15 0.225 0.434 0.121
Fe16 0.225 0.434 0.879
Fe17 0.275 0.934 0.379
Fe18 0.275 0.934 0.621
Fe19 0.318 0.682 0.245
Fe20 0.318 0.682 0.755
Fe21 0.360 0.963 0.177
Fe22 0.360 0.963 0.823
Fe23 0.402 0.402 0.292
Fe24 0.402 0.402 0.708
Fe25 0.434 0.225 0.121
Fe26 0.434 0.225 0.879
Fe27 0.463 0.140 0.323
Fe28 0.463 0.140 0.677
Fe29 0.500 0.000 0.000
Fe30 0.500 0.000 0.500
Fe31 0.500 0.500 0.107
Fe32 0.500 0.500 0.893
Fe33 0.537 0.860 0.323
Fe34 0.537 0.860 0.677
Fe35 0.566 0.775 0.121
Fe36 0.566 0.775 0.879
Fe37 0.598 0.598 0.292
Fe38 0.598 0.598 0.708
Fe39 0.640 0.037 0.177
Fe40 0.640 0.037 0.823
Fe41 0.682 0.318 0.245
Fe42 0.682 0.318 0.755
Fe43 0.725 0.066 0.379
Fe44 0.725 0.066 0.621
Fe45 0.775 0.566 0.121
Fe46 0.775 0.566 0.879
Fe47 0.818 0.818 0.255
Fe48 0.818 0.818 0.745
Fe49 0.860 0.537 0.323
Fe50 0.860 0.537 0.677
Fe51 0.902 0.098 0.208
Fe52 0.902 0.098 0.792
Fe53 0.934 0.275 0.379
Fe54 0.934 0.275 0.621
Fe55 0.963 0.360 0.177
Fe56 0.963 0.360 0.823
C1 0.126 0.874 0.500
C2 0.374 0.374 0.000
C3 0.626 0.626 0.000
C4 0.874 0.126 0.500


A relaxed Nd2Fe14C crystal. Source: the Materials Project database, functional GGA-PBE.

- Energy above the lowest structure with this stoichiometry: 249 meV per atom
- Density: 7.6 Mg/m³

Unit cell a=8.738 b=8.738 c=12.445 alpha=90.00 beta=90.00 gamma=90.00
Positions (direct):
Nd1 0.176 0.176 0.000
Nd2 0.237 0.763 0.000
Nd3 0.263 0.263 0.500
Nd4 0.324 0.676 0.500
Nd5 0.676 0.324 0.500
Nd6 0.737 0.737 0.500
Nd7 0.763 0.237 0.000
Nd8 0.824 0.824 0.000
Fe1 0.000 0.000 0.103
Fe2 0.000 0.000 0.897
Fe3 0.000 0.500 0.000
Fe4 0.000 0.500 0.500
Fe5 0.028 0.641 0.179
Fe6 0.028 0.641 0.821
Fe7 0.043 0.739 0.390
Fe8 0.043 0.739 0.610
Fe9 0.106 0.894 0.243
Fe10 0.106 0.894 0.757
Fe11 0.141 0.472 0.321
Fe12 0.141 0.472 0.679
Fe13 0.191 0.191 0.252
Fe14 0.191 0.191 0.748
Fe15 0.239 0.457 0.110
Fe16 0.239 0.457 0.890
Fe17 0.261 0.957 0.390
Fe18 0.261 0.957 0.610
Fe19 0.309 0.691 0.248
Fe20 0.309 0.691 0.752
Fe21 0.359 0.972 0.179
Fe22 0.359 0.972 0.821
Fe23 0.394 0.394 0.257
Fe24 0.394 0.394 0.743
Fe25 0.457 0.239 0.110
Fe26 0.457 0.239 0.890
Fe27 0.472 0.141 0.321
Fe28 0.472 0.141 0.679
Fe29 0.500 0.000 0.000
Fe30 0.500 0.000 0.500
Fe31 0.500 0.500 0.397
Fe32 0.500 0.500 0.603
Fe33 0.528 0.859 0.321
Fe34 0.528 0.859 0.679
Fe35 0.543 0.761 0.110
Fe36 0.543 0.761 0.890
Fe37 0.606 0.606 0.257
Fe38 0.606 0.606 0.743
Fe39 0.641 0.028 0.179
Fe40 0.641 0.028 0.821
Fe41 0.691 0.309 0.248
Fe42 0.691 0.309 0.752
Fe43 0.739 0.043 0.390
Fe44 0.739 0.043 0.610
Fe45 0.761 0.543 0.110
Fe46 0.761 0.543 0.890
Fe47 0.809 0.809 0.252
Fe48 0.809 0.809 0.748
Fe49 0.859 0.528 0.321
Fe50 0.859 0.528 0.679
Fe51 0.894 0.106 0.243
Fe52 0.894 0.106 0.757
Fe53 0.957 0.261 0.390
Fe54 0.957 0.261 0.610
Fe55 0.972 0.359 0.179
Fe56 0.972 0.359 0.821
C1 0.124 0.876 0.500
C2 0.376 0.376 0.000
C3 0.624 0.624 0.000
C4 0.876 0.124 0.500


A relaxed Nd2Fe17C3 crystal. Source: the Materials Project database, functional GGA-PBE.

- Density: 7.7 Mg/m³

Unit cell a=6.541 b=6.541 c=6.541 alpha=83.83 beta=83.83 gamma=83.83
Positions (direct):
Nd1 0.156 0.156 0.156
Nd2 0.844 0.844 0.844
Fe1 0.000 0.500 0.500
Fe2 0.158 0.158 0.641
Fe3 0.158 0.641 0.158
Fe4 0.216 0.500 0.784
Fe5 0.216 0.784 0.500
Fe6 0.359 0.842 0.842
Fe7 0.405 0.405 0.405
Fe8 0.500 0.000 0.500
Fe9 0.500 0.216 0.784
Fe10 0.500 0.500 0.000
Fe11 0.500 0.784 0.216
Fe12 0.595 0.595 0.595
Fe13 0.641 0.158 0.158
Fe14 0.784 0.216 0.500
Fe15 0.784 0.500 0.216
Fe16 0.842 0.359 0.842
Fe17 0.842 0.842 0.359
C1 0.000 0.000 0.500
C2 0.000 0.500 0.000
C3 0.500 0.000 0.000


| no. | formation energy (eV per atom) | magnetization (μB per cell) |
| --- | --- | --- |
| 1 | -0.013 | 122.3 |
| 2 | 0.236 | 123.6 |
| 3 | 0.135 | 7.7 |